A geometry-optimized Zn11B8Rh18 structure. Source: the Materials Project, functional GGA-PBE.

abc: 17.900 17.900 2.882
angles: 90.00 90.00 90.00
Positions (direct):
Zn  0.032  0.188  0.000
Zn  0.968  0.812  0.000
Zn  0.188  0.968  0.000
Zn  0.532  0.312  0.000
Zn  0.812  0.032  0.000
Zn  0.468  0.688  0.000
Zn  0.688  0.532  0.000
Zn  0.312  0.468  0.000
Zn  0.209  0.709  0.000
Zn  0.791  0.291  0.000
Zn  0.709  0.791  0.000
Zn  0.291  0.209  0.000
Zn  0.669  0.169  0.000
Zn  0.331  0.831  0.000
Zn  0.169  0.331  0.000
Zn  0.831  0.669  0.000
Zn  0.550  0.050  0.000
Zn  0.450  0.950  0.000
Zn  0.050  0.450  0.000
Zn  0.950  0.550  0.000
Zn  0.000  0.000  0.000
Zn  0.500  0.500  0.000
B  0.167  0.124  0.000
B  0.833  0.876  0.000
B  0.124  0.833  0.000
B  0.667  0.376  0.000
B  0.876  0.167  0.000
B  0.333  0.624  0.000
B  0.624  0.667  0.000
B  0.376  0.333  0.000
B  0.334  0.039  0.000
B  0.666  0.961  0.000
B  0.039  0.666  0.000
B  0.834  0.461  0.000
B  0.961  0.334  0.000
B  0.166  0.539  0.000
B  0.539  0.834  0.000
B  0.461  0.166  0.000
Rh  0.256  0.088  0.500
Rh  0.744  0.912  0.500
Rh  0.088  0.744  0.500
Rh  0.756  0.412  0.500
Rh  0.912  0.256  0.500
Rh  0.244  0.588  0.500
Rh  0.588  0.756  0.500
Rh  0.412  0.244  0.500
Rh  0.048  0.325  0.500
Rh  0.952  0.675  0.500
Rh  0.325  0.952  0.500
Rh  0.548  0.175  0.500
Rh  0.675  0.048  0.500
Rh  0.452  0.825  0.500
Rh  0.825  0.548  0.500
Rh  0.175  0.452  0.500
Rh  0.099  0.068  0.500
Rh  0.901  0.932  0.500
Rh  0.068  0.901  0.500
Rh  0.599  0.432  0.500
Rh  0.932  0.099  0.500
Rh  0.401  0.568  0.500
Rh  0.568  0.599  0.500
Rh  0.432  0.401  0.500
Rh  0.082  0.582  0.500
Rh  0.918  0.418  0.500
Rh  0.582  0.918  0.500
Rh  0.418  0.082  0.500
Rh  0.161  0.211  0.500
Rh  0.839  0.789  0.500
Rh  0.211  0.839  0.500
Rh  0.661  0.289  0.500
Rh  0.789  0.161  0.500
Rh  0.339  0.711  0.500
Rh  0.711  0.661  0.500
Rh  0.289  0.339  0.500

**DFT formation energy**: -0.426 eV/atom
**SG**: P4/mbm (127)
**Final energy**: -5.827 eV/atom

=====

A geometry-optimized ZrBRh3 structure. Source: the Materials Project, functional GGA-PBE.

abc: 4.151 4.151 4.151
angles: 90.00 90.00 90.00
Positions (direct):
Zr  0.000  0.000  0.000
B  0.500  0.500  0.500
Rh  0.000  0.500  0.500
Rh  0.500  0.500  0.000
Rh  0.500  0.000  0.500

**DFT formation energy**: -0.738 eV/atom
**SG**: Pm-3m (221)
**Final energy**: -8.202 eV/atom